First-principles (PBE-GGA) data for a relaxed structure of Mg7TiAl6Si8H8O38, as listed in the Materials Project database.

Calculated values
The space-group type is P3. The formation energy from the elements is -2.925 eV per atom.

abc: 12.2924 12.2924 5.0647
angles: 90.00 90.00 120.00
With the nearest neighbours (Å) after each atom.
Sites, in units of the cell vectors:
O  0.9226  0.8519  0.9532  1 Si 1.66
O  0.0711  0.9221  0.4245  1 Si 1.66
O  0.6172  0.8240  0.1904  1 Si 1.67
O  0.2068  0.3828  0.1904  1 Si 1.67
O  0.8510  0.9289  0.4245  1 Si 1.66
O  0.3438  0.0647  0.1703  1 Si 1.64
O  0.1922  0.6119  0.8946  1 Si 1.62
O  0.7209  0.6562  0.1703  1 Si 1.64
Si  0.6667  0.3333  0.2806  4 O 1.61-1.62
O  0.3881  0.5803  0.8946  1 Si 1.62
Mg  0.3388  0.9132  0.9980  6 O 2.03-2.23
O  0.0464  0.5224  0.3177  1 H 0.98
Si  0.3034  0.1470  0.9803  4 O 1.64-1.67
O  0.1481  0.0707  0.9532  1 Si 1.66
H  0.8778  0.4345  0.9250  1 O 0.98
Al  0.6513  0.5816  0.4923  4 O 1.85-1.88
O  0.7950  0.6208  0.6931  1 Si 1.67
O  0.0638  0.7229  0.6686  1 Si 1.65
Al  0.4184  0.0697  0.4923  4 O 1.85-1.88
Si  0.3333  0.6667  0.7792  4 O 1.61-1.62
O  0.5225  0.4763  0.8166  1 H 0.98
H  0.1227  0.5658  0.4249  1 O 0.98
Si  0.1468  0.8435  0.4728  4 O 1.65-1.67
O  0.3792  0.1742  0.6931  1 Si 1.67
Al  0.3484  0.4185  0.9894  4 O 1.85-1.87
Mg  0.9131  0.5746  0.4996  6 O 2.03-2.23
O  0.9293  0.0774  0.9532  1 Si 1.66
Si  0.1565  0.3033  0.4728  4 O 1.65-1.67
H  0.3333  0.6667  0.2711  1 O 0.97
H  0.6667  0.3333  0.7717  1 O 0.97
O  0.9279  0.6448  0.1299  1 Si 1.65
O  0.6123  0.4198  0.3976  1 Si 1.62
O  0.9353  0.2791  0.1703  1 Si 1.64
O  0.6467  0.7187  0.6285  1 Si 1.65
O  0.4760  0.9536  0.3177  1 H 0.98
O  0.4197  0.8078  0.8946  1 Si 1.62
H  0.4432  0.8773  0.4249  1 O 0.98
Si  0.8436  0.6966  0.9803  4 O 1.64-1.67
Si  0.6967  0.8532  0.4728  4 O 1.65-1.67
Al  0.0701  0.6516  0.9894  4 O 1.85-1.87
Mg  0.5744  0.6612  0.9980  6 O 2.03-2.23
O  0.7169  0.0721  0.1299  1 Si 1.65
O  0.4776  0.5240  0.3177  1 H 0.98
O  0.5802  0.1925  0.3976  1 Si 1.62
O  0.0721  0.3533  0.6285  1 Si 1.65
Mg  0.0868  0.4256  0.9980  6 O 2.03-2.23
O  0.0779  0.1490  0.4245  1 Si 1.66
Mg  0.0000  0.0000  0.6901  6 O 2.06-2.08
O  0.6667  0.3333  0.9627  1 H 0.97
Mg  0.6614  0.0869  0.4996  6 O 2.03-2.23
O  0.5237  0.0462  0.8166  1 H 0.98
Si  0.8530  0.1564  0.9803  4 O 1.64-1.67
Ti  0.0000  0.0000  0.1909  6 O 1.98
O  0.8258  0.2050  0.6931  1 Si 1.67
Mg  0.4254  0.3386  0.4996  6 O 2.03-2.23
O  0.3333  0.6667  0.4618  1 H 0.97
O  0.6591  0.9362  0.6686  1 Si 1.65
O  0.2771  0.3409  0.6686  1 Si 1.65
O  0.9538  0.4775  0.8166  1 H 0.98
O  0.1760  0.7932  0.1904  1 Si 1.67
O  0.8075  0.3877  0.3976  1 Si 1.62
H  0.5567  0.1222  0.9250  1 O 0.98
O  0.2813  0.9279  0.6285  1 Si 1.65
H  0.5655  0.4433  0.9250  1 O 0.98
Al  0.5815  0.9299  0.9894  4 O 1.85-1.87
H  0.4342  0.5568  0.4249  1 O 0.98
Al  0.9303  0.3487  0.4923  4 O 1.85-1.88
O  0.3552  0.2831  0.1299  1 Si 1.65